No. 1
# BaCaI4 GGA-PBE optimized geometry
data_BaCaI4
_cell_length_a 8.1925
_cell_length_b 17.4251
_cell_length_c 8.0395
_cell_angle_alpha 90.00
_cell_angle_beta 90.00
_cell_angle_gamma 90.00
_symmetry_space_group_name_H-M 'P b c n'
_symmetry_Int_Tables_number 60
_symmetry_space_group_name_Hall '-P 2n 2ab'
loop_
_atom_site_label
_atom_site_fract_x
_atom_site_fract_y
_atom_site_fract_z
_atom_site_occupancy
Ba1 0.0000 0.1360 0.2500 1
Ca1 0.0000 0.4123 0.2500 1
I1 0.1590 0.2893 0.0239 1
I2 0.2495 0.0185 0.9981 1
# Crystal system: orthorhombic
# Energy of formation from the pure elements: -1911 meV per atom
# ρ: 3.965 g/cm³
# Total energy: -79.89 eV for the cell shown
# Total magnetic moment: 0.00 μB per cell
# Distance to the lowest polymorph of the same formula: 0.034 eV/atom

***

No. 2
# BaCaI4 GGA-PBE optimized geometry
data_BaCaI4
_cell_length_a 9.9750
_cell_length_b 11.0547
_cell_length_c 10.9867
_cell_angle_alpha 90.00
_cell_angle_beta 90.00
_cell_angle_gamma 90.00
_symmetry_space_group_name_H-M 'I m m a'
_symmetry_Int_Tables_number 74
_symmetry_space_group_name_Hall '-I 2b 2'
loop_
_atom_site_label
_atom_site_fract_x
_atom_site_fract_y
_atom_site_fract_z
_atom_site_occupancy
Ba1 0.0000 0.2500 0.2295 1
Ca1 0.2500 0.2500 0.7500 1
I1 0.0000 0.0671 0.7685 1
I2 0.2301 0.2500 0.4638 1
# Crystal system: orthorhombic
# Energy of formation from the pure elements: -1921 meV per atom
# ρ: 3.756 g/cm³
# Total energy: -80.13 eV for the cell shown
# Total magnetic moment: 0.00 μB per cell
# Distance to the lowest polymorph of the same formula: 0.024 eV/atom

***

No. 3
# BaCaI4 GGA-PBE optimized geometry
data_BaCaI4
_cell_length_a 8.5679
_cell_length_b 8.3336
_cell_length_c 17.5813
_cell_angle_alpha 90.00
_cell_angle_beta 107.58
_cell_angle_gamma 90.00
_symmetry_space_group_name_H-M 'P 1 21/c 1'
_symmetry_Int_Tables_number 14
_symmetry_space_group_name_Hall '-P 2ybc'
loop_
_atom_site_label
_atom_site_fract_x
_atom_site_fract_y
_atom_site_fract_z
_atom_site_occupancy
Ba1 0.2184 0.0466 0.1573 1
Ca1 0.3126 0.1542 0.9034 1
I1 0.0385 0.2399 0.9757 1
I2 0.0388 0.1428 0.7410 1
I3 0.4528 0.6897 0.4198 1
I4 0.4591 0.6887 0.1774 1
# Crystal system: monoclinic
# Energy of formation from the pure elements: -1904 meV per atom
# ρ: 3.802 g/cm³
# Total energy: -79.71 eV for the cell shown
# Total magnetic moment: 0.08 μB per cell
# Distance to the lowest polymorph of the same formula: 0.041 eV/atom

***

No. 4
# Ba2CaI6 GGA-PBE optimized geometry
data_Ba2CaI6
_cell_length_a 8.5774
_cell_length_b 8.1902
_cell_length_c 24.9866
_cell_angle_alpha 90.00
_cell_angle_beta 91.29
_cell_angle_gamma 90.00
_symmetry_space_group_name_H-M 'P 1 21/c 1'
_symmetry_Int_Tables_number 14
_symmetry_space_group_name_Hall '-P 2ybc'
loop_
_atom_site_label
_atom_site_fract_x
_atom_site_fract_y
_atom_site_fract_z
_atom_site_occupancy
Ba1 0.1706 0.0162 0.0913 1
Ba2 0.2722 0.0611 0.7620 1
Ca1 0.3528 0.5303 0.9143 1
I1 0.0281 0.7439 0.3110 1
I2 0.0965 0.2211 0.3640 1
I3 0.1413 0.7180 0.4750 1
I4 0.3698 0.1955 0.5146 1
I5 0.4246 0.7086 0.1582 1
I6 0.4831 0.2128 0.1680 1
# Crystal system: monoclinic
# Energy of formation from the pure elements: -1961 meV per atom
# ρ: 4.073 g/cm³
# Total energy: -121.45 eV for the cell shown
# Total magnetic moment: 0.01 μB per cell